No. 1
DFT (PBE-GGA) results for Sr5Tl3 after structural relaxation.

Output
DFT total energy = -36.214 eV per cell
E_form = -321 meV per atom
space-group type = No. 140

abc: 10.147 10.147 10.147
angles: 127.40 127.40 77.60
Positions (direct):
Sr (0.000, 0.000, 0.000)
Sr (0.025, 0.525, 0.841)
Sr (0.184, 0.025, 0.500)
Sr (0.316, 0.816, 0.841)
Sr (0.475, 0.316, 0.500)
Sr (0.500, 0.500, 0.000)
Sr (0.525, 0.684, 0.500)
Sr (0.684, 0.184, 0.159)
Sr (0.816, 0.975, 0.500)
Sr (0.975, 0.475, 0.159)
Tl (0.123, 0.377, 0.500)
Tl (0.250, 0.250, 0.000)
Tl (0.377, 0.877, 0.253)
Tl (0.623, 0.123, 0.747)
Tl (0.750, 0.750, 0.000)
Tl (0.877, 0.623, 0.500)

No. 2
DFT (PBE-GGA) results for BiPd6Pb after structural relaxation.

Output
DFT total energy = -40.843 eV per cell
E_form = -270 meV per atom
space-group type = No. 123

abc: 4.131 4.131 8.259
angles: 90.00 90.00 90.00
Positions (direct):
Bi (0.000, 0.000, 0.000)
Pd (0.000, 0.500, 0.250)
Pd (0.000, 0.500, 0.750)
Pd (0.500, 0.000, 0.250)
Pd (0.500, 0.000, 0.750)
Pd (0.500, 0.500, 0.000)
Pd (0.500, 0.500, 0.500)
Pb (0.000, 0.000, 0.500)

No. 3
DFT (PBE-GGA) results for VN after structural relaxation.

Output
DFT total energy = -38.755 eV per cell
E_form = -1159 meV per atom
space-group type = No. 11

abc: 2.939 2.885 4.137
angles: 90.00 91.49 90.00
Positions (direct):
V (0.206, 0.250, 0.228)
V (0.794, 0.750, 0.772)
N (0.278, 0.250, 0.736)
N (0.722, 0.750, 0.264)

No. 4
DFT (PBE-GGA) results for TlBC2N2 after structural relaxation.

Output
DFT total energy = -160.696 eV per cell
E_form = 546 meV per atom
space-group type = No. 88

abc: 9.202 9.202 9.202
angles: 121.44 121.44 87.52
Positions (direct):
Tl (0.000, 0.000, 0.000)
Tl (0.500, 0.000, 0.000)
Tl (0.500, 0.000, 0.500)
Tl (0.500, 0.500, 0.500)
B (0.000, 0.000, 0.500)
B (0.000, 0.500, 0.000)
B (0.000, 0.500, 0.500)
B (0.500, 0.500, 0.000)
C (0.036, 0.332, 0.442)
C (0.094, 0.536, 0.204)
C (0.168, 0.110, 0.704)
C (0.390, 0.594, 0.058)
C (0.610, 0.406, 0.942)
C (0.832, 0.890, 0.296)
C (0.906, 0.464, 0.796)
C (0.964, 0.668, 0.558)
N (0.063, 0.190, 0.382)
N (0.180, 0.563, 0.373)
N (0.307, 0.680, 0.118)
N (0.310, 0.193, 0.873)
N (0.690, 0.807, 0.127)
N (0.693, 0.320, 0.882)
N (0.820, 0.437, 0.627)
N (0.937, 0.810, 0.618)